[1]
A relaxed structure of La4FeSb2S10, computed with PBE-GGA.

Output
energy of formation from the pure elements	-28.7	eV per formula unit
crystal system	orthorhombic
E (MP2020)	-106.57	eV/f.u.

Cell: 15.1070 7.6294 13.2593 Å, 90.00 90.00 90.00°
With the nearest neighbours (Å) after each atom.
Space group Pbcm (No. 57)
Unique sites:
La1 0.0624 0.1227 0.2500 (multiplicity 4)  8 S 2.94-3.07
La2 0.1261 0.7500 0.0000 (multiplicity 4)  10 S 3.08-3.32
La3 0.3097 0.6196 0.7500 (multiplicity 4)  8 S 2.92-3.06
La4 0.3770 0.2500 0.0000 (multiplicity 4)  10 S 3.10-3.32
Fe1 0.1242 0.2500 0.0000 (multiplicity 4)  4 S 2.27
Sb1 0.2154 0.0511 0.7500 (multiplicity 4)  3 S 2.49-2.60
Sb2 0.4637 0.5488 0.2500 (multiplicity 4)  3 S 2.49-2.58
S1 0.0373 0.0885 0.6039 (multiplicity 8)  1 Fe 2.27
S2 0.1265 0.7406 0.2500 (multiplicity 4)  1 Sb 2.60
S3 0.2086 0.0788 0.1013 (multiplicity 8)  1 Fe 2.27
S4 0.2926 0.5859 0.1041 (multiplicity 8)  1 Sb 2.49
S5 0.3748 0.2404 0.7500 (multiplicity 4)  2 Sb 2.58-2.81
S6 0.4557 0.5788 0.6037 (multiplicity 8)  1 Sb 2.49

=====

[2]
A relaxed structure of CaGe3, computed with PBE-GGA.

Output
energy of formation from the pure elements	-1.1	eV per formula unit
crystal system	tetragonal

Cell: 7.7229 7.7229 11.4697 Å, 90.00 90.00 90.00°
With the nearest neighbours (Å) after each atom.
Space group I4/mmm (No. 139)
Unique sites:
Ca1 0.0000 0.0000 0.1662 (multiplicity 4)  12 Ge 3.19-3.51
Ca2 0.0000 0.5000 0.2500 (multiplicity 4)  12 Ge 3.15-3.21
Ge1 0.0000 0.3310 0.0000 (multiplicity 8)  5 Ge 2.61-2.79
Ge2 0.1827 0.1827 0.3832 (multiplicity 16)  5 Ge 2.68-2.82

=====

[3]
A relaxed structure of LuO3, computed with PBE-GGA.

Output
energy of formation from the pure elements	-8.0	eV per formula unit
crystal system	hexagonal
E (MP2020)	-27.41	eV/f.u.
distance to the lowest polymorph of the same formula	0.0	meV per atom

Cell: 4.5477 4.5477 4.5855 Å, 90.00 90.00 120.00°
With the nearest neighbours (Å) after each atom.
Space group P6_3/mmc (No. 194)
Unique sites:
Lu1 0.3333 0.6667 0.2500 (multiplicity 2)  6 O 2.28
O1 0.1776 0.3553 0.7500 (multiplicity 6)  2 O 2.12, 2 Lu 2.28

=====

[4]
A relaxed structure of Y3Sn, computed with PBE-GGA.

Output
energy of formation from the pure elements	-1.6	eV per formula unit
crystal system	hexagonal

Cell: 6.8807 6.8807 5.6007 Å, 90.00 90.00 120.00°
With the nearest neighbours (Å) after each atom.
Space group P6_3/mmc (No. 194)
Unique sites:
Y1 0.1711 0.3423 0.2500 (multiplicity 6)  8 Y 3.35-3.53, 4 Sn 3.40-3.44
Sn1 0.3333 0.6667 0.7500 (multiplicity 2)  12 Y 3.40-3.44

=====

[5]
A relaxed structure of CuAgS, computed with PBE-GGA.

Output
energy of formation from the pure elements	-0.8	eV per formula unit
crystal system	orthorhombic
E (MP2020)	-11.87	eV/f.u.

Cell: 4.0460 6.6842 8.2076 Å, 90.00 90.00 90.00°
With the nearest neighbours (Å) after each atom.
Space group Cmc2_1 (No. 36)
Unique sites:
Cu1 0.0000 0.0607 0.0000 (multiplicity 4)  3 S 2.25-2.36
Ag1 0.0000 0.4896 0.2440 (multiplicity 4)  2 S 2.47-2.49
S1 0.0000 0.2916 0.4985 (multiplicity 4)  3 Cu 2.25-2.36, 2 Ag 2.47-2.49

=====

[6]
A relaxed structure of CeAl8Co2, computed with PBE-GGA.

Output
energy of formation from the pure elements	-5.2	eV per formula unit
crystal system	orthorhombic

Cell: 12.4874 14.2934 4.0069 Å, 90.00 90.00 90.00°
With the nearest neighbours (Å) after each atom.
Space group Pbam (No. 55)
Unique sites:
Ce1 0.1595 0.1814 0.0000 (multiplicity 4)  13 Al 3.14-3.35
Al1 0.0000 0.0000 0.0000 (multiplicity 2)  2 Co 2.34
Al2 0.0000 0.5000 0.5000 (multiplicity 2)  4 Co 2.46, 4 Al 2.63-2.64
Al3 0.0252 0.8684 0.5000 (multiplicity 4)  2 Co 2.60, 7 Al 2.69-2.85
Al4 0.0473 0.3208 0.5000 (multiplicity 4)  2 Co 2.56, 6 Al 2.63-2.86
Al5 0.0961 0.7471 0.0000 (multiplicity 4)  2 Co 2.31-2.35
Al6 0.1597 0.4553 0.0000 (multiplicity 4)  3 Co 2.47-2.54
Al7 0.1597 0.6208 0.5000 (multiplicity 4)  2 Co 2.56, 5 Al 2.64-2.81
Al8 0.1684 0.0088 0.5000 (multiplicity 4)  2 Co 2.51, 3 Al 2.68-2.73
Al9 0.2363 0.8275 0.5000 (multiplicity 4)  2 Co 2.51, 3 Al 2.70-2.73
Co1 0.0353 0.5945 0.0000 (multiplicity 4)  9 Al 2.31-2.56
Co2 0.1518 0.9038 0.0000 (multiplicity 4)  9 Al 2.34-2.60

=====

[7]
A relaxed structure of Hf3Ni7, computed with PBE-GGA.

Output
energy of formation from the pure elements	-5.0	eV per formula unit
crystal system	triclinic

Cell: 6.5039 6.5726 7.6144 Å, 102.78 104.58 112.62°
With the nearest neighbours (Å) after each atom.
Space group P-1 (No. 2)
Unique sites:
Hf1 0.0004 0.2273 0.3688 (multiplicity 2)  11 Ni 2.61-2.87
Hf2 0.3423 0.4743 0.1247 (multiplicity 2)  10 Ni 2.60-2.81
Hf3 0.4009 0.0447 0.2781 (multiplicity 2)  11 Ni 2.59-2.82
Ni1 0.0000 0.0000 0.0000 (multiplicity 1)  6 Ni 2.46-2.56
Ni2 0.0547 0.1999 0.7652 (multiplicity 2)  5 Ni 2.43-2.59, 3 Hf 2.61-2.66
Ni3 0.1175 0.6760 0.9567 (multiplicity 2)  3 Ni 2.41-2.57, 4 Hf 2.61-2.69
Ni4 0.2217 0.6729 0.3925 (multiplicity 2)  3 Ni 2.43-2.69, 5 Hf 2.63-2.71
Ni5 0.2712 0.5633 0.7151 (multiplicity 2)  5 Ni 2.41-2.69, 4 Hf 2.62-2.67
Ni6 0.3192 0.1406 0.5940 (multiplicity 2)  4 Ni 2.50-2.72, 5 Hf 2.59-2.67
Ni7 0.3936 0.1164 0.9406 (multiplicity 2)  7 Ni 2.56-2.81, 5 Hf 2.64-2.81
Ni8 0.5000 0.5000 0.5000 (multiplicity 1)  6 Ni 2.54-2.55, 6 Hf 2.72-2.82

=====

> energy of formation from the pure elements of number 2 (CaGe3)?

-1.1 eV per formula unit

=====

What did the fifth record say?
A relaxed structure of CuAgS, computed with PBE-GGA.

Output
energy of formation from the pure elements	-0.8	eV per formula unit
crystal system	orthorhombic
E (MP2020)	-11.87	eV/f.u.

Cell: 4.0460 6.6842 8.2076 Å, 90.00 90.00 90.00°
With the nearest neighbours (Å) after each atom.
Space group Cmc2_1 (No. 36)
Unique sites:
Cu1 0.0000 0.0607 0.0000 (multiplicity 4)  3 S 2.25-2.36
Ag1 0.0000 0.4896 0.2440 (multiplicity 4)  2 S 2.47-2.49
S1 0.0000 0.2916 0.4985 (multiplicity 4)  3 Cu 2.25-2.36, 2 Ag 2.47-2.49

=====

> The lowest energy of formation from the pure elements belongs to which entry?

La4FeSb2S10

=====

Copy entry 4 word for word.
A relaxed structure of Y3Sn, computed with PBE-GGA.

Output
energy of formation from the pure elements	-1.6	eV per formula unit
crystal system	hexagonal

Cell: 6.8807 6.8807 5.6007 Å, 90.00 90.00 120.00°
With the nearest neighbours (Å) after each atom.
Space group P6_3/mmc (No. 194)
Unique sites:
Y1 0.1711 0.3423 0.2500 (multiplicity 6)  8 Y 3.35-3.53, 4 Sn 3.40-3.44
Sn1 0.3333 0.6667 0.7500 (multiplicity 2)  12 Y 3.40-3.44